1.
The following is a DFT calculation (PBE) of a relaxed structure of TbSi3Ir.

Calculated values
Its symmetry is No. 107. The value obtained for the formation energy is -795 meV/atom.

a b c (Å): 4.200 4.200 5.733
angles (deg): 111.49 111.49 90.00
Sites, in units of the cell vectors:
Ir (0.652, 0.652, 0.305)
Si (0.765, 0.265, 0.529)
Si (0.265, 0.765, 0.529)
Tb (0.998, 0.998, 0.996)
Si (0.414, 0.414, 0.828)

---

2.
The following is a DFT calculation (PBE) of a relaxed structure of ThSi2Ir2.

Calculated values
Its symmetry is No. 129. The value obtained for the formation energy is -1105 meV/atom.

a b c (Å): 4.192 4.192 9.988
angles (deg): 90.00 90.00 90.00
Sites, in units of the cell vectors:
Si (0.000, 0.500, 0.869)
Si (0.500, 0.500, 0.500)
Si (0.000, 0.000, 0.500)
Th (0.000, 0.500, 0.254)
Ir (0.000, 0.500, 0.626)
Ir (0.000, 0.000, 0.000)
Th (0.500, 0.000, 0.746)
Ir (0.500, 0.000, 0.374)
Ir (0.500, 0.500, 0.000)
Si (0.500, 0.000, 0.131)

---

3.
The following is a DFT calculation (PBE) of a relaxed structure of ThSi2Ir2.

Calculated values
Its symmetry is No. 139. As for the size of the total moment: 0.000 μB/atom. The value obtained for the formation energy is -948 meV/atom.

a b c (Å): 5.836 5.836 5.836
angles (deg): 137.38 137.38 61.85
Sites, in units of the cell vectors:
Ir (0.369, 0.369, 0.000)
Ir (0.631, 0.631, 0.000)
Si (0.250, 0.750, 0.500)
Si (0.750, 0.250, 0.500)
Th (0.000, 0.000, 0.000)

---

4.
The following is a DFT calculation (PBE) of a relaxed structure of Tm5Si10Ir4.

Calculated values
Its symmetry is No. 127. The value obtained for the formation energy is -893 meV/atom.

a b c (Å): 12.579 12.579 4.231
angles (deg): 90.00 90.00 90.00
Sites, in units of the cell vectors:
Si (0.164, 0.799, 0.000)
Tm (0.616, 0.884, 0.500)
Si (0.336, 0.299, 0.000)
Si (0.496, 0.656, 0.500)
Si (0.656, 0.504, 0.500)
Si (0.996, 0.844, 0.500)
Ir (0.021, 0.246, 0.000)
Tm (0.175, 0.325, 0.500)
Tm (0.825, 0.675, 0.500)
Si (0.566, 0.066, 0.000)
Ir (0.746, 0.521, 0.000)
Ir (0.479, 0.746, 0.000)
Tm (0.384, 0.116, 0.500)
Tm (0.000, 0.000, 0.000)
Si (0.504, 0.344, 0.500)
Si (0.799, 0.836, 0.000)
Tm (0.675, 0.175, 0.500)
Tm (0.325, 0.825, 0.500)
Si (0.844, 0.004, 0.500)
Tm (0.500, 0.500, 0.000)
Si (0.434, 0.934, 0.000)
Si (0.344, 0.496, 0.500)
Ir (0.254, 0.479, 0.000)
Ir (0.754, 0.021, 0.000)
Si (0.156, 0.996, 0.500)
Si (0.201, 0.164, 0.000)
Si (0.934, 0.566, 0.000)
Si (0.299, 0.664, 0.000)
Si (0.664, 0.701, 0.000)
Ir (0.246, 0.979, 0.000)
Ir (0.521, 0.254, 0.000)
Si (0.004, 0.156, 0.500)
Ir (0.979, 0.754, 0.000)
Tm (0.116, 0.616, 0.500)
Si (0.701, 0.336, 0.000)
Si (0.066, 0.434, 0.000)
Tm (0.884, 0.384, 0.500)
Si (0.836, 0.201, 0.000)